VASP calculation (PBE-GGA) on a relaxed structure of Y2CrN3.

Geometry as POSCAR:
```
Y2CrN3
1.0
2.583 -5.288 0.000
2.583 5.288 0.000
-0.839 0.000 11.394
Y Cr N
8 4 12
Direct
0.026 0.433 0.353
0.128 0.344 0.928
0.344 0.128 0.428
0.433 0.026 0.853
0.567 0.974 0.147
0.656 0.872 0.572
0.872 0.656 0.072
0.974 0.567 0.647
0.286 0.294 0.173
0.294 0.286 0.673
0.706 0.714 0.327
0.714 0.706 0.827
0.005 0.995 0.750
0.125 0.481 0.129
0.146 0.338 0.537
0.338 0.146 0.037
0.373 0.627 0.750
0.481 0.125 0.629
0.519 0.875 0.371
0.627 0.373 0.250
0.662 0.854 0.963
0.854 0.662 0.463
0.875 0.519 0.871
0.995 0.005 0.250
```

Energy with MP2020 corrections ... -9.3255 eV/atom
Uncorrected energy ... -9.15 eV/atom
SG ... C2/c (15)
ρ ... 5.801 g cm⁻³
ΔH_f (0 K) ... -1392.9 meV per atom



VASP calculation (PBE-GGA) on a relaxed structure of CuS2N4O6.

Geometry as POSCAR:
```
CuS2N4O6
1.0
6.758 0.000 0.000
0.000 10.014 0.000
-5.552 0.000 8.021
Cu S N O
2 4 8 12
Direct
0.000 0.000 0.000
0.000 0.500 0.500
0.226 0.049 0.713
0.226 0.451 0.213
0.774 0.549 0.787
0.774 0.951 0.287
0.213 0.102 0.182
0.213 0.398 0.682
0.215 0.637 0.557
0.215 0.863 0.057
0.785 0.137 0.943
0.785 0.363 0.443
0.787 0.602 0.318
0.787 0.898 0.818
0.094 0.120 0.765
0.094 0.380 0.265
0.237 0.102 0.581
0.237 0.398 0.081
0.338 0.576 0.289
0.338 0.924 0.789
0.662 0.076 0.211
0.662 0.424 0.711
0.763 0.602 0.919
0.763 0.898 0.419
0.906 0.620 0.735
0.906 0.880 0.235
```

Energy with MP2020 corrections ... -5.3841 eV/atom
Uncorrected energy ... -5.07 eV/atom
SG ... P2_1/c (14)
ρ ... 1.711 g cm⁻³
ΔH_f (0 K) ... 416.3 meV per atom



VASP calculation (PBE-GGA) on a relaxed structure of CeSe2.

Geometry as POSCAR:
```
CeSe2
1.0
-2.783 2.783 6.835
2.783 -2.783 6.835
2.783 2.783 -6.835
Ce Se
2 4
Direct
0.375 0.625 0.750
0.625 0.375 0.250
0.167 0.417 0.750
0.417 0.167 0.250
0.583 0.833 0.750
0.833 0.583 0.250
```

Energy with MP2020 corrections ... -6.1299 eV/atom
Uncorrected energy ... -5.82 eV/atom
SG ... I4_1/amd (141)
ρ ... 4.673 g cm⁻³
ΔH_f (0 K) ... -1821.6 meV per atom



VASP calculation (PBE-GGA) on a relaxed structure of H24OsC8N2F6.

Geometry as POSCAR:
```
H24OsC8N2F6
1.0
4.081 2.356 6.739
-4.081 2.356 6.739
0.000 -4.712 6.739
H Os C N F
24 1 8 2 6
Direct
0.008 0.488 0.731
0.013 0.217 0.249
0.034 0.193 0.540
0.193 0.540 0.034
0.215 0.526 0.248
0.217 0.249 0.013
0.248 0.215 0.526
0.249 0.013 0.217
0.269 0.992 0.512
0.460 0.966 0.807
0.474 0.752 0.785
0.488 0.731 0.008
0.512 0.269 0.992
0.526 0.248 0.215
0.540 0.034 0.193
0.731 0.008 0.488
0.751 0.987 0.783
0.752 0.785 0.474
0.783 0.751 0.987
0.785 0.474 0.752
0.807 0.460 0.966
0.966 0.807 0.460
0.987 0.783 0.751
0.992 0.512 0.269
0.500 0.500 0.500
0.156 0.475 0.197
0.177 0.177 0.177
0.197 0.156 0.475
0.475 0.197 0.156
0.525 0.803 0.844
0.803 0.844 0.525
0.823 0.823 0.823
0.844 0.525 0.803
0.251 0.251 0.251
0.749 0.749 0.749
0.306 0.668 0.359
0.332 0.641 0.694
0.359 0.306 0.668
0.641 0.694 0.332
0.668 0.359 0.306
0.694 0.332 0.641
```

Energy with MP2020 corrections ... -5.3151 eV/atom
Uncorrected energy ... -5.25 eV/atom
SG ... R-3 (148)
ρ ... 1.933 g cm⁻³
ΔH_f (0 K) ... -567.8 meV per atom



VASP calculation (PBE-GGA) on a relaxed structure of Na2MgSn3P4S2O24.

Geometry as POSCAR:
```
Na2MgSn3P4S2O24
1.0
8.712 0.000 0.000
-4.353 7.552 0.000
-0.059 -0.058 22.860
Na Mg Sn P S O
6 3 9 12 6 72
Direct
0.000 0.000 0.000
0.004 0.004 0.502
0.338 0.666 0.336
0.343 0.671 0.830
0.663 0.330 0.663
0.676 0.337 0.167
0.006 0.999 0.644
0.672 0.332 0.318
0.999 0.000 0.144
0.004 0.993 0.848
0.004 0.999 0.353
0.337 0.659 0.182
0.340 0.661 0.978
0.344 0.664 0.478
0.353 0.675 0.682
0.665 0.328 0.515
0.666 0.332 0.812
0.677 0.339 0.016
0.046 0.370 0.081
0.294 0.997 0.746
0.335 0.370 0.581
0.378 0.329 0.915
0.382 0.040 0.412
0.634 0.668 0.081
0.637 0.962 0.580
0.671 0.620 0.413
0.673 0.042 0.914
0.717 0.709 0.746
0.962 0.336 0.413
0.965 0.625 0.914
0.003 0.707 0.246
0.006 0.291 0.747
0.046 0.667 0.581
0.298 0.287 0.247
0.337 0.958 0.081
0.714 0.002 0.246
0.030 0.823 0.588
0.031 0.192 0.088
0.038 0.219 0.802
0.040 0.818 0.300
0.122 0.492 0.136
0.123 0.630 0.635
0.150 0.501 0.421
0.150 0.644 0.921
0.155 0.695 0.528
0.159 0.457 0.026
0.165 0.472 0.742
0.172 0.693 0.242
0.174 0.189 0.588
0.180 0.976 0.089
0.186 0.214 0.300
0.190 0.966 0.805
0.192 0.164 0.908
0.193 0.020 0.408
0.212 0.030 0.693
0.212 0.182 0.194
0.304 0.455 0.526
0.308 0.849 0.028
0.313 0.470 0.243
0.313 0.827 0.742
0.358 0.852 0.420
0.361 0.497 0.920
0.374 0.489 0.637
0.375 0.882 0.135
0.451 0.149 0.470
0.456 0.294 0.971
0.475 0.310 0.253
0.484 0.163 0.753
0.491 0.118 0.358
0.493 0.367 0.860
0.501 0.135 0.076
0.504 0.857 0.921
0.506 0.643 0.419
0.511 0.364 0.576
0.515 0.628 0.136
0.516 0.888 0.636
0.525 0.684 0.744
0.530 0.835 0.242
0.549 0.847 0.526
0.550 0.701 0.026
0.639 0.121 0.859
0.641 0.493 0.076
0.641 0.512 0.358
0.650 0.147 0.575
0.693 0.157 0.253
0.698 0.522 0.754
0.706 0.153 0.971
0.709 0.549 0.470
0.787 0.818 0.805
0.787 0.964 0.300
0.815 0.976 0.588
0.816 0.829 0.088
0.820 0.023 0.195
0.828 0.793 0.693
0.838 0.809 0.409
0.841 0.025 0.908
0.844 0.309 0.754
0.849 0.530 0.253
0.853 0.300 0.470
0.853 0.550 0.970
0.860 0.356 0.076
0.869 0.502 0.576
0.884 0.364 0.358
0.886 0.509 0.859
0.976 0.182 0.695
0.982 0.810 0.909
0.983 0.793 0.194
0.984 0.168 0.409
```

Energy with MP2020 corrections ... -6.9791 eV/atom
Uncorrected energy ... -6.52 eV/atom
SG ... P1 (1)
ρ ... 3.307 g cm⁻³
ΔH_f (0 K) ... -2397.1 meV per atom



VASP calculation (PBE-GGA) on a relaxed structure of Li3Lu3Te2O12.

Geometry as POSCAR:
```
Li3Lu3Te2O12
1.0
-6.123 6.123 6.123
6.123 -6.123 6.123
6.123 6.123 -6.123
Li Lu Te O
12 12 8 48
Direct
0.125 0.750 0.875
0.125 0.875 0.250
0.250 0.125 0.875
0.250 0.625 0.375
0.375 0.250 0.625
0.375 0.625 0.750
0.625 0.375 0.250
0.625 0.750 0.375
0.750 0.375 0.625
0.750 0.875 0.125
0.875 0.125 0.750
0.875 0.250 0.125
0.125 0.250 0.375
0.125 0.375 0.750
0.250 0.375 0.125
0.250 0.875 0.625
0.375 0.125 0.250
0.375 0.750 0.125
0.625 0.250 0.875
0.625 0.875 0.750
0.750 0.125 0.375
0.750 0.625 0.875
0.875 0.625 0.250
0.875 0.750 0.625
0.000 0.000 0.000
0.000 0.000 0.500
0.000 0.500 0.000
0.000 0.500 0.500
0.500 0.000 0.000
0.500 0.000 0.500
0.500 0.500 0.000
0.500 0.500 0.500
0.030 0.203 0.123
0.030 0.328 0.907
0.080 0.703 0.672
0.080 0.877 0.407
0.093 0.623 0.420
0.093 0.970 0.672
0.123 0.030 0.203
0.123 0.593 0.920
0.172 0.203 0.580
0.172 0.470 0.593
0.203 0.123 0.030
0.203 0.580 0.172
0.297 0.328 0.920
0.297 0.470 0.377
0.328 0.907 0.030
0.328 0.920 0.297
0.377 0.297 0.470
0.377 0.580 0.907
0.407 0.080 0.877
0.407 0.828 0.530
0.420 0.093 0.623
0.420 0.828 0.797
0.470 0.377 0.297
0.470 0.593 0.172
0.530 0.407 0.828
0.530 0.623 0.703
0.580 0.172 0.203
0.580 0.907 0.377
0.593 0.172 0.470
0.593 0.920 0.123
0.623 0.420 0.093
0.623 0.703 0.530
0.672 0.080 0.703
0.672 0.093 0.970
0.703 0.530 0.623
0.703 0.672 0.080
0.797 0.420 0.828
0.797 0.877 0.970
0.828 0.530 0.407
0.828 0.797 0.420
0.877 0.407 0.080
0.877 0.970 0.797
0.907 0.030 0.328
0.907 0.377 0.580
0.920 0.123 0.593
0.920 0.297 0.328
0.970 0.672 0.093
0.970 0.797 0.877
```

Energy with MP2020 corrections ... -7.0268 eV/atom
Uncorrected energy ... -6.61 eV/atom
SG ... Ia-3d (230)
ρ ... 7.182 g cm⁻³
ΔH_f (0 K) ... -2779.2 meV per atom



VASP calculation (PBE-GGA) on a relaxed structure of Ho2S3.

Geometry as POSCAR:
```
Ho2S3
1.0
-4.143 4.143 12.390
4.143 -4.143 12.390
4.143 4.143 -12.390
Ho S
16 24
Direct
0.048 0.427 0.898
0.166 0.166 0.000
0.177 0.298 0.398
0.221 0.823 0.121
0.256 0.125 0.631
0.375 0.744 0.869
0.494 0.625 0.369
0.529 0.151 0.102
0.573 0.471 0.621
0.584 0.084 0.500
0.702 0.099 0.879
0.834 0.834 0.000
0.849 0.952 0.379
0.875 0.506 0.131
0.901 0.779 0.602
0.916 0.416 0.500
0.001 0.114 0.246
0.074 0.828 0.613
0.172 0.785 0.246
0.188 0.093 0.747
0.191 0.596 0.753
0.211 0.465 0.887
0.215 0.461 0.387
0.246 0.999 0.114
0.346 0.441 0.253
0.404 0.157 0.595
0.504 0.118 0.254
0.535 0.422 0.746
0.539 0.926 0.754
0.559 0.812 0.905
0.562 0.809 0.405
0.578 0.324 0.113
0.676 0.789 0.254
0.749 0.496 0.614
0.843 0.438 0.247
0.864 0.251 0.746
0.868 0.754 0.754
0.882 0.136 0.386
0.886 0.132 0.886
0.907 0.654 0.095
```

Energy with MP2020 corrections ... -6.6505 eV/atom
Uncorrected energy ... -6.35 eV/atom
SG ... I-42d (122)
ρ ... 6.652 g cm⁻³
ΔH_f (0 K) ... -2335.7 meV per atom



VASP calculation (PBE-GGA) on a relaxed structure of MgAl4Cu2O8.

Geometry as POSCAR:
```
MgAl4Cu2O8
1.0
2.875 1.660 5.069
-2.875 1.660 5.069
0.000 -3.319 5.069
Mg Al Cu O
1 4 2 8
Direct
0.000 0.000 0.000
0.000 0.500 0.500
0.500 0.000 0.500
0.500 0.500 0.000
0.500 0.500 0.500
0.156 0.156 0.156
0.844 0.844 0.844
0.256 0.256 0.713
0.256 0.713 0.256
0.278 0.278 0.278
0.287 0.744 0.744
0.713 0.256 0.256
0.722 0.722 0.722
0.744 0.287 0.744
0.744 0.744 0.287
```

Energy with MP2020 corrections ... -6.8818 eV/atom
Uncorrected energy ... -6.52 eV/atom
SG ... R-3m (166)
ρ ... 4.432 g cm⁻³
ΔH_f (0 K) ... -2590.8 meV per atom



VASP calculation (PBE-GGA) on a relaxed structure of Na2Lu2B2TeO10.

Geometry as POSCAR:
```
Na2Lu2B2TeO10
1.0
6.304 0.000 0.000
0.000 9.878 0.000
-1.566 0.000 6.511
Na Lu B Te O
4 4 4 2 20
Direct
0.083 0.111 0.168
0.083 0.389 0.668
0.917 0.611 0.332
0.917 0.889 0.832
0.373 0.665 0.977
0.373 0.835 0.477
0.627 0.165 0.523
0.627 0.335 0.023
0.162 0.100 0.626
0.162 0.400 0.126
0.838 0.600 0.874
0.838 0.900 0.374
0.500 0.000 0.000
0.500 0.500 0.500
0.025 0.670 0.949
0.025 0.830 0.449
0.208 0.066 0.838
0.208 0.434 0.338
0.305 0.062 0.508
0.305 0.438 0.008
0.335 0.617 0.638
0.335 0.883 0.138
0.500 0.153 0.181
0.500 0.347 0.681
0.500 0.653 0.319
0.500 0.847 0.819
0.665 0.117 0.862
0.665 0.383 0.362
0.695 0.562 0.992
0.695 0.938 0.492
0.792 0.566 0.662
0.792 0.934 0.162
0.975 0.170 0.551
0.975 0.330 0.051
```

Energy with MP2020 corrections ... -7.4426 eV/atom
Uncorrected energy ... -7.04 eV/atom
SG ... P2_1/c (14)
ρ ... 5.776 g cm⁻³
ΔH_f (0 K) ... -2873.9 meV per atom



VASP calculation (PBE-GGA) on a relaxed structure of Mn2B.

Geometry as POSCAR:
```
Mn2B
1.0
-2.533 2.533 2.052
2.533 -2.533 2.052
2.533 2.533 -2.052
Mn B
4 2
Direct
0.159 0.659 0.817
0.341 0.159 0.500
0.659 0.841 0.500
0.841 0.341 0.183
0.250 0.250 0.000
0.750 0.750 0.000
```

Uncorrected energy ... -8.73 eV/atom
SG ... I4/mcm (140)
ρ ... 7.610 g cm⁻³
ΔH_f (0 K) ... -396.9 meV per atom